La12Sn5S28: optimized geometry, PBE-GGA.

Cell: 10.3847 12.0181 12.0211 Å, 60.64 64.42 64.41°
With the nearest neighbours (Å) after each atom.
Fractional positions:
La1 0.1346 0.2455 0.9857  8 S 2.92-3.21
La2 0.1315 0.7538 0.4608  7 S 2.84-3.14
La3 0.2156 0.4734 0.1809  7 S 2.82-3.13
La4 0.2295 0.9467 0.6869  8 S 2.92-3.20
La5 0.6342 0.1990 0.9385  8 S 2.90-3.21
La6 0.6537 0.7112 0.4188  7 S 2.82-3.12
La7 0.8708 0.7718 0.0117  5 S 2.82-3.13
La8 0.8606 0.2824 0.4910  7 S 2.93-3.04
La9 0.7733 0.5800 0.7879  7 S 2.94-3.04
La10 0.7840 0.0519 0.2923  5 S 2.81-3.09
La11 0.3450 0.8153 0.0553  5 S 2.82-3.13
La12 0.3668 0.3267 0.5348  7 S 2.93-3.08
Sn1 0.6654 0.5124 0.1568  4 S 2.38-2.43
Sn2 0.6683 0.0077 0.6555  4 S 2.37-2.44
Sn3 0.3309 0.5927 0.7416  4 S 2.37-2.43
Sn4 0.3359 0.0903 0.2419  4 S 2.36-2.44
Sn5 0.0000 0.2492 0.7507  6 S 2.58-2.62
S1 0.8473 0.2557 0.9882  1 Sn 2.62, 2 La 2.92-2.93
S2 0.8386 0.7567 0.5063  3 La 2.84-2.94
S3 0.2626 0.5740 0.3247  3 La 2.82-2.93
S4 0.2435 0.0886 0.8205  1 Sn 2.62
S5 0.8985 0.5443 0.2946  3 La 2.82-2.94
S6 0.9090 0.0574 0.7898  1 Sn 2.62
S7 0.1624 0.7463 0.9908  3 La 2.82-2.91
S8 0.1473 0.2415 0.5168  1 Sn 2.58
S9 0.7580 0.4101 0.6851  1 Sn 2.59
S10 0.7376 0.9275 0.1724  3 La 2.81-2.91
S11 0.0947 0.4365 0.7112  1 Sn 2.59
S12 0.0993 0.9585 0.2041  3 La 2.82-2.90
S13 0.4217 0.0536 0.0358  1 Sn 2.44
S14 0.4254 0.5557 0.5363  1 Sn 2.42
S15 0.0947 0.2545 0.2369  1 Sn 2.43
S16 0.0881 0.7502 0.7297  1 Sn 2.43
S17 0.4796 0.2256 0.2055  1 Sn 2.43
S18 0.4912 0.7167 0.6985  1 Sn 2.43
S19 0.5742 0.7166 0.1936  1 Sn 2.41
S20 0.5764 0.2140 0.6935  1 Sn 2.44
S21 0.9088 0.5181 0.9971  1 Sn 2.43
S22 0.9097 0.0194 0.4970  1 Sn 2.42
S23 0.5172 0.5476 0.0262  1 Sn 2.43
S24 0.5142 0.0493 0.5271  1 Sn 2.42
S25 0.6623 0.8193 0.8577  1 Sn 2.37
S26 0.6711 0.3101 0.3458  1 Sn 2.38
S27 0.3325 0.3979 0.9379  1 Sn 2.37
S28 0.3342 0.8947 0.4360  1 Sn 2.36

Formation enthalpy at 0 K ... -1902 meV/atom
VASP energy ... -5.92 eV per atom